VASP calculation (r2SCAN) on a relaxed In3Ga crystal.

abc: 5.5743 5.5743 5.5743
angles: 130.68 130.68 72.32
With the nearest neighbours (Å) after each atom.
Atoms (fractional coordinates):
In 0.2500 0.7500 0.5000  8 In 3.24-3.29, 4 Ga 3.24
In 0.5000 0.5000 0.0000  8 In 3.24, 4 Ga 3.29
In 0.7500 0.2500 0.5000  8 In 3.24-3.29, 4 Ga 3.24
Ga 0.0000 0.0000 0.0000  12 In 3.24-3.29

Summary:
V: 97 Å³/cell
SG: I4/mmm (139)
total energy: -19.73 eV/atom

---

VASP calculation (r2SCAN) on a relaxed InGaSb2 crystal.

abc: 4.4827 4.4827 6.3707
angles: 90.00 90.00 90.00
With the nearest neighbours (Å) after each atom.
Atoms (fractional coordinates):
Sb 0.5000 0.0000 0.7674  2 Ga 2.69, 2 In 2.82
Sb 0.0000 0.5000 0.2326  2 Ga 2.69, 2 In 2.82
Ga 0.0000 0.0000 0.0000  4 Sb 2.69
In 0.5000 0.5000 0.5000  4 Sb 2.82

Summary:
V: 128 Å³/cell
SG: P-4m2 (115)
total energy: -21.57 eV/atom

---

VASP calculation (r2SCAN) on a relaxed Ga5Ir3 crystal.

abc: 5.8327 5.8327 14.2151
angles: 90.00 90.00 90.00
With the nearest neighbours (Å) after each atom.
Atoms (fractional coordinates):
Ga 0.6497 0.2282 0.9470  4 Ir 2.49-2.63
Ga 0.2718 0.8503 0.5530  4 Ir 2.49-2.63
Ga 0.8503 0.7282 0.4470  4 Ir 2.49-2.63
Ga 0.1497 0.2718 0.4470  4 Ir 2.49-2.63
Ga 0.2282 0.3503 0.0530  4 Ir 2.49-2.63
Ga 0.1915 0.1557 0.8470  4 Ir 2.44-2.71, 1 Ga 2.71
Ga 0.6557 0.6915 0.6530  4 Ir 2.44-2.71, 1 Ga 2.71
Ga 0.1557 0.8085 0.1530  4 Ir 2.44-2.71, 1 Ga 2.71
Ga 0.8085 0.8443 0.8470  4 Ir 2.44-2.71, 1 Ga 2.71
Ga 0.7282 0.1497 0.5530  4 Ir 2.49-2.63
Ga 0.7718 0.6497 0.0530  4 Ir 2.49-2.63
Ga 0.3503 0.7718 0.9470  4 Ir 2.49-2.63
Ga 0.8443 0.1915 0.1530  4 Ir 2.44-2.71, 1 Ga 2.71
Ga 0.8321 0.3321 0.7500  4 Ir 2.43-2.71, 2 Ga 2.71
Ga 0.3443 0.3085 0.6530  4 Ir 2.44-2.71, 1 Ga 2.71
Ga 0.6915 0.3443 0.3470  4 Ir 2.44-2.71, 1 Ga 2.71
Ga 0.1679 0.6679 0.7500  4 Ir 2.43-2.71, 2 Ga 2.71
Ga 0.3321 0.1679 0.2500  4 Ir 2.43-2.71, 2 Ga 2.71
Ga 0.6679 0.8321 0.2500  4 Ir 2.43-2.71, 2 Ga 2.71
Ga 0.3085 0.6557 0.3470  4 Ir 2.44-2.71, 1 Ga 2.71
Ir 0.0000 0.0000 0.3272  6 Ga 2.43-2.71
Ir 0.0000 0.5000 0.9140  8 Ga 2.49-2.71
Ir 0.0000 0.0000 0.6728  6 Ga 2.43-2.71
Ir 0.5000 0.0000 0.0860  8 Ga 2.49-2.71
Ir 0.5000 0.5000 0.5000  8 Ga 2.55-2.61
Ir 0.0000 0.0000 0.0000  8 Ga 2.55-2.61
Ir 0.0000 0.5000 0.2500  4 Ga 2.44
Ir 0.0000 0.5000 0.5860  8 Ga 2.49-2.71
Ir 0.5000 0.5000 0.1728  6 Ga 2.43-2.71
Ir 0.5000 0.0000 0.7500  4 Ga 2.44
Ir 0.5000 0.5000 0.8272  6 Ga 2.43-2.71
Ir 0.5000 0.0000 0.4140  8 Ga 2.49-2.71

Summary:
V: 484 Å³/cell
SG: P-4n2 (118)
total energy: -27.32 eV/atom

---

VASP calculation (r2SCAN) on a relaxed LiGaIr crystal.

abc: 4.0406 4.0406 5.4453
angles: 90.00 90.00 120.00
With the nearest neighbours (Å) after each atom.
Atoms (fractional coordinates):
Li 0.6667 0.3333 0.2500  3 Ga 2.33
Li 0.3333 0.6667 0.7500  3 Ga 2.33
Ga 0.6667 0.3333 0.7500  3 Li 2.33
Ga 0.3333 0.6667 0.2500  3 Li 2.33
Ir 0.0000 0.0000 0.5000  6 Li 2.70, 6 Ga 2.70, 2 Ir 2.72
Ir 0.0000 0.0000 0.0000  6 Ga 2.70, 6 Li 2.70, 2 Ir 2.72

Summary:
V: 77 Å³/cell
SG: P6_3/mmc (194)
total energy: -22.54 eV/atom

---

VASP calculation (r2SCAN) on a relaxed Li2GaIr crystal.

abc: 4.2002 4.2002 4.2002
angles: 60.00 60.00 60.00
With the nearest neighbours (Å) after each atom.
Atoms (fractional coordinates):
Ga 0.7500 0.7500 0.7500  4 Li 2.57, 4 Ir 2.57
Li 0.5000 0.5000 0.5000  4 Li 2.57, 4 Ga 2.57
Li 0.2500 0.2500 0.2500  4 Ir 2.57, 4 Li 2.57
Ir 0.0000 0.0000 0.0000  4 Ga 2.57, 4 Li 2.57

Summary:
V: 52 Å³/cell
SG: F-43m (216)
total energy: -17.62 eV/atom

---

VASP calculation (r2SCAN) on a relaxed Ga2IrRu crystal.

abc: 4.2548 4.2548 4.2548
angles: 60.02 60.02 60.02
With the nearest neighbours (Å) after each atom.
Atoms (fractional coordinates):
Ga 0.5000 0.5000 0.5000  4 Ru 2.61, 4 Ir 2.61
Ga 0.0000 0.0000 0.0000  4 Ru 2.60-2.61, 4 Ir 2.61
Ru 0.7500 0.7500 0.7500  8 Ga 2.60-2.61
Ir 0.2500 0.2500 0.2500  8 Ga 2.61

Summary:
V: 54 Å³/cell
SG: Fm-3m (225)
total energy: -25.64 eV/atom

---

VASP calculation (r2SCAN) on a relaxed Tb2Ga9Ir3 crystal.

abc: 7.5034 7.5034 9.4691
angles: 90.00 90.00 119.80
With the nearest neighbours (Å) after each atom.
Atoms (fractional coordinates):
Ga 0.6619 0.4557 0.7500  2 Ir 2.57, 6 Ga 2.68-2.77
Ga 0.3381 0.5443 0.2500  2 Ir 2.57, 6 Ga 2.68-2.77
Ga 0.3345 0.0011 0.4214  3 Ir 2.56-2.61, 3 Ga 2.72-2.85
Ga 0.9989 0.6655 0.5786  3 Ir 2.56-2.61, 3 Ga 2.72-2.85
Ga 0.6655 0.9989 0.9214  3 Ir 2.56-2.61, 3 Ga 2.72-2.85
Ga 0.9989 0.6655 0.9214  3 Ir 2.56-2.61, 3 Ga 2.72-2.85
Ga 0.3338 0.3338 0.9336  3 Ir 2.59-2.63, 5 Ga 2.77-2.85
Ga 0.0011 0.3345 0.0786  3 Ir 2.56-2.61, 3 Ga 2.72-2.85
Ga 0.3338 0.3338 0.5664  3 Ir 2.59-2.63, 5 Ga 2.77-2.85
Ga 0.0011 0.3345 0.4214  3 Ir 2.56-2.61, 3 Ga 2.72-2.85
Ga 0.6662 0.6662 0.0664  3 Ir 2.59-2.63, 5 Ga 2.77-2.85
Ga 0.1301 0.1301 0.2500  2 Ir 2.56, 6 Ga 2.70-2.72
Ga 0.8699 0.8699 0.7500  2 Ir 2.56, 6 Ga 2.70-2.72
Ga 0.4557 0.6619 0.7500  2 Ir 2.57, 6 Ga 2.68-2.77
Ga 0.5443 0.3381 0.2500  2 Ir 2.57, 6 Ga 2.68-2.77
Ga 0.6655 0.9989 0.5786  3 Ir 2.56-2.61, 3 Ga 2.72-2.85
Ga 0.3345 0.0011 0.0786  3 Ir 2.56-2.61, 3 Ga 2.72-2.85
Ga 0.6662 0.6662 0.4336  3 Ir 2.59-2.63, 5 Ga 2.77-2.85
Ir 0.3286 0.6714 0.0000  8 Ga 2.56-2.63
Ir 0.0000 0.0000 0.5000  8 Ga 2.56-2.61
Ir 0.0000 0.0000 0.0000  8 Ga 2.56-2.61
Ir 0.6714 0.3286 0.0000  8 Ga 2.56-2.63
Ir 0.6714 0.3286 0.5000  8 Ga 2.56-2.63
Ir 0.3286 0.6714 0.5000  8 Ga 2.56-2.63
Tb 0.0021 0.3308 0.7500  11 Ga 2.99-3.13
Tb 0.3308 0.0021 0.7500  11 Ga 2.99-3.13
Tb 0.9979 0.6692 0.2500  11 Ga 2.99-3.13
Tb 0.6692 0.9979 0.2500  11 Ga 2.99-3.13

Summary:
V: 463 Å³/cell
SG: Cmcm (63)
total energy: -23.80 eV/atom

---

VASP calculation (r2SCAN) on a relaxed ThGaIr crystal.

abc: 7.2321 7.2321 4.0905
angles: 90.00 90.00 120.00
With the nearest neighbours (Å) after each atom.
Atoms (fractional coordinates):
Ga 0.0000 0.2328 0.0000  4 Ir 2.65-2.84, 2 Ga 2.92
Ga 0.2328 0.0000 0.0000  4 Ir 2.65-2.84, 2 Ga 2.92
Ga 0.7672 0.7672 0.0000  4 Ir 2.65-2.84, 2 Ga 2.92
Ir 0.0000 0.0000 0.5000  6 Ga 2.65
Ir 0.6667 0.3333 0.0000  3 Ga 2.84, 6 Th 2.99
Ir 0.3333 0.6667 0.0000  3 Ga 2.84, 6 Th 2.99
Th 0.5847 0.0000 0.5000  5 Ir 2.99-3.00, 6 Ga 3.27-3.31
Th 0.4153 0.4153 0.5000  5 Ir 2.99-3.00, 6 Ga 3.27-3.31
Th 0.0000 0.5847 0.5000  5 Ir 2.99-3.00, 6 Ga 3.27-3.31

Summary:
V: 185 Å³/cell
SG: P-62m (189)
total energy: -46.77 eV/atom